The following is a DFT calculation (PBE) of crystalline Y3Mg at its relaxed geometry.

Cell and atoms, written as POSCAR:
```
Y3Mg
1.0
-0.7928 -3.7595 3.9935
-2.9844 1.3068 4.4828
-5.0142 -2.2405 0.7403
Y Mg
3 1
direct
0.5000 0.5000 0.5000
0.2500 0.2500 0.2500
0.7500 0.7500 0.7500
0.0000 0.0000 0.0000
```

**Energy relative to the elements**: 62 meV/atom
**Space group**: Fm-3m (225)